Here is a geometry-optimized Ho2Fe17C structure from the Materials Project database. Energies are from GGA-PBE.

Relative energy among the computed polymorphs = 0 meV per atom
Energy of formation = -0.042 eV/atom

abc: 8.250 8.514 8.539
angles: 119.90 90.00 90.00
Fractional coordinates of all 40 atoms:
Fe1 0.895 0.667 0.334
Fe2 0.004 0.502 0.003
Fe3 0.250 0.631 0.959
Fe4 0.002 0.500 0.498
Fe5 0.981 0.167 0.833
Fe6 0.019 0.334 0.168
Fe7 0.498 0.998 0.498
Fe8 0.981 0.666 0.833
Fe9 0.750 0.950 0.620
Fe10 0.393 0.333 0.666
Fe11 0.605 0.667 0.334
Fe12 0.250 0.042 0.672
Fe13 0.518 0.166 0.332
Fe14 0.750 0.379 0.051
Fe15 0.020 0.832 0.664
Fe16 0.481 0.334 0.168
Fe17 0.498 0.500 0.498
Fe18 0.250 0.328 0.959
Fe19 0.250 0.328 0.369
Fe20 0.750 0.958 0.329
Fe21 0.480 0.832 0.664
Fe22 0.750 0.671 0.620
Fe23 0.750 0.672 0.051
Fe24 0.107 0.333 0.666
Fe25 0.250 0.630 0.672
Fe26 0.250 0.040 0.369
Fe27 0.002 0.998 0.498
Fe28 0.982 0.166 0.332
Fe29 0.519 0.167 0.833
Fe30 0.496 0.502 0.003
Fe31 0.750 0.372 0.329
Fe32 0.019 0.834 0.168
Fe33 0.519 0.666 0.833
Fe34 0.481 0.834 0.168
Ho1 0.750 0.331 0.662
Ho2 0.250 0.000 0.999
Ho3 0.750 0.003 0.006
Ho4 0.250 0.667 0.334
C1 0.750 0.165 0.835
C2 0.750 0.669 0.835